# 1
## NaNiPO11 (PBE with a Hubbard U)

Data for a relaxed NaNiPO11 crystal.

As for the crystal system: tetragonal. As for the total moment: 23.98 μB per cell. Its space group is No. 131. As for the total energy after the MP2020 corrections: -5.049 eV per atom. The calculated formation energy is -0.27 eV/atom.

abc: 6.4168 6.4168 9.7786
angles: 90.00 90.00 90.00
Fractional coordinates of all 28 atoms:
Na 0.0000 0.0000 0.0000
Na 0.0000 0.0000 0.5000
Ni 0.0000 0.5000 0.5000
Ni 0.5000 0.0000 0.0000
P 0.5000 0.5000 0.7500
P 0.5000 0.5000 0.2500
O 0.5000 0.7016 0.6600
O 0.5000 0.2984 0.6600
O 0.2984 0.5000 0.1600
O 0.7016 0.5000 0.1600
O 0.5000 0.7016 0.3400
O 0.5000 0.2984 0.3400
O 0.7016 0.5000 0.8400
O 0.2984 0.5000 0.8400
O 0.0000 0.5000 0.6873
O 0.5000 0.0000 0.1873
O 0.0000 0.5000 0.3127
O 0.5000 0.0000 0.8127
O 0.1984 0.7048 0.5000
O 0.8016 0.2952 0.5000
O 0.2952 0.1984 0.0000
O 0.7048 0.8016 0.0000
O 0.8016 0.7048 0.5000
O 0.1984 0.2952 0.5000
O 0.7048 0.1984 0.0000
O 0.2952 0.8016 0.0000
O 0.0000 0.0000 0.7500
O 0.0000 0.0000 0.2500

# 2
## BaSmEuMnO6 (PBE with a Hubbard U)

Data for a relaxed BaSmEuMnO6 crystal.

As for the crystal system: cubic. As for the total moment: 9.00 μB per cell. Its space group is No. 216. As for the total energy after the MP2020 corrections: -8.391 eV per atom. The calculated formation energy is -2.82 eV/atom.

abc: 5.8990 5.8990 5.8990
angles: 60.00 60.00 60.00
Fractional coordinates of all 10 atoms:
Ba 0.7500 0.7500 0.7500
Sm 0.5000 0.5000 0.5000
Eu 0.2500 0.2500 0.2500
Mn 0.0000 0.0000 0.0000
O 0.7701 0.2299 0.2299
O 0.2299 0.7701 0.7701
O 0.7701 0.2299 0.7701
O 0.2299 0.7701 0.2299
O 0.7701 0.7701 0.2299
O 0.2299 0.2299 0.7701

# 3
## Mn2OF3 (PBE with a Hubbard U)

Data for a relaxed Mn2OF3 crystal.

As for the crystal system: orthorhombic. As for the total moment: 0.00 μB per cell. Its space group is No. 62. As for the total energy after the MP2020 corrections: -7.464 eV per atom. The calculated formation energy is -2.63 eV/atom. For the energy above the most stable polymorph in this dataset, the calculation gives 1.1 kJ/mol of atoms.

abc: 5.1051 10.4738 6.1545
angles: 90.00 90.00 89.98
Fractional coordinates of all 24 atoms:
Mn 0.4999 0.5000 0.9999
Mn 0.5000 0.5000 0.5000
Mn 0.4826 0.2348 0.7500
Mn 0.5175 0.7652 0.2500
Mn 0.0000 0.0000 0.0000
Mn 0.0001 0.0000 0.5000
Mn 0.9828 0.2652 0.2500
Mn 0.0172 0.7348 0.7500
O 0.8436 0.0747 0.2500
O 0.3435 0.4253 0.7500
O 0.6564 0.5747 0.2500
O 0.1565 0.9253 0.7500
F 0.7572 0.0877 0.7500
F 0.2576 0.4121 0.2500
F 0.7424 0.5879 0.7500
F 0.2428 0.9123 0.2500
F 0.2202 0.1613 0.9905
F 0.2202 0.1614 0.5096
F 0.7199 0.3385 0.4903
F 0.7199 0.3385 0.0097
F 0.2801 0.6615 0.9903
F 0.2801 0.6615 0.5097
F 0.7798 0.8387 0.4904
F 0.7798 0.8387 0.0096

Which of these has the highest calculated formation energy?
NaNiPO11

Which of these has the lowest total energy after the MP2020 corrections?
BaSmEuMnO6

total energy after the MP2020 corrections of number 1 (NaNiPO11)?
-5.049 eV per atom